A) # LiMnP4O12, optimized geometry, DFT GGA+U
data_LiMnP4O12
_cell_length_a 8.699
_cell_length_b 8.699
_cell_length_c 9.628
_cell_angle_alpha 59.17
_cell_angle_beta 59.17
_cell_angle_gamma 50.34
_space_group_name_H-M_alt 'P 1'
_space_group_IT_number 1
loop_
_space_group_symop_operation_xyz
'x,y,z'
loop_
_atom_site_label
_atom_site_type_symbol
_atom_site_fract_x
_atom_site_fract_y
_atom_site_fract_z
_atom_site_occupancy
Li1 Li 0.706 0.294 0.750 1
Li2 Li 0.294 0.706 0.250 1
Mn1 Mn 0.155 0.845 0.750 1
Mn2 Mn 0.845 0.155 0.250 1
P1 P 0.036 0.695 0.164 1
P2 P 0.442 0.291 0.139 1
P3 P 0.709 0.558 0.361 1
P4 P 0.305 0.964 0.336 1
P5 P 0.695 0.036 0.664 1
P6 P 0.291 0.442 0.639 1
P7 P 0.558 0.709 0.861 1
P8 P 0.964 0.305 0.836 1
O1 O 0.601 0.186 0.226 1
O2 O 0.235 0.479 0.218 1
O3 O 0.041 0.738 0.988 1
O4 O 0.853 0.653 0.295 1
O5 O 0.978 0.149 0.797 1
O6 O 0.347 0.147 0.205 1
O7 O 0.262 0.959 0.512 1
O8 O 0.641 0.506 0.547 1
O9 O 0.494 0.359 0.953 1
O10 O 0.521 0.765 0.282 1
O11 O 0.814 0.399 0.274 1
O12 O 0.851 0.022 0.703 1
O13 O 0.149 0.978 0.297 1
O14 O 0.186 0.601 0.726 1
O15 O 0.479 0.235 0.718 1
O16 O 0.506 0.641 0.047 1
O17 O 0.359 0.494 0.453 1
O18 O 0.738 0.041 0.488 1
O19 O 0.653 0.853 0.795 1
O20 O 0.022 0.851 0.203 1
O21 O 0.147 0.347 0.705 1
O22 O 0.959 0.262 0.012 1
O23 O 0.765 0.521 0.782 1
O24 O 0.399 0.814 0.774 1
# - SG = No. 15
# - crystal system = monoclinic

B) # LiMnP4O12, optimized geometry, DFT GGA+U
data_LiMnP4O12
_cell_length_a 9.315
_cell_length_b 9.315
_cell_length_c 9.333
_cell_angle_alpha 90.00
_cell_angle_beta 90.00
_cell_angle_gamma 90.00
_space_group_name_H-M_alt 'P 1'
_space_group_IT_number 1
loop_
_space_group_symop_operation_xyz
'x,y,z'
loop_
_atom_site_label
_atom_site_type_symbol
_atom_site_fract_x
_atom_site_fract_y
_atom_site_fract_z
_atom_site_occupancy
Li1 Li 0.250 0.750 0.750 1
Li2 Li 0.750 0.250 0.750 1
Li3 Li 0.750 0.750 0.250 1
Li4 Li 0.250 0.250 0.250 1
Mn1 Mn 0.000 0.500 0.750 1
Mn2 Mn 0.000 0.500 0.250 1
Mn3 Mn 0.500 0.000 0.750 1
Mn4 Mn 0.500 0.000 0.250 1
P1 P 0.000 0.231 0.000 1
P2 P 0.769 0.000 0.000 1
P3 P 0.269 0.500 0.500 1
P4 P 0.500 0.278 0.000 1
P5 P 0.722 0.500 0.000 1
P6 P 0.231 0.000 0.000 1
P7 P 0.500 0.722 0.000 1
P8 P 0.500 0.731 0.500 1
P9 P 0.222 0.000 0.500 1
P10 P 0.000 0.222 0.500 1
P11 P 0.278 0.500 0.000 1
P12 P 0.778 0.000 0.500 1
P13 P 0.000 0.778 0.500 1
P14 P 0.500 0.269 0.500 1
P15 P 0.000 0.769 0.000 1
P16 P 0.731 0.500 0.500 1
O1 O 0.379 0.621 0.564 1
O2 O 0.614 0.614 0.927 1
O3 O 0.300 0.073 0.379 1
O4 O 0.800 0.573 0.121 1
O5 O 0.379 0.379 0.436 1
O6 O 0.879 0.121 0.936 1
O7 O 0.438 0.809 0.375 1
O8 O 0.427 0.200 0.121 1
O9 O 0.200 0.427 0.121 1
O10 O 0.191 0.438 0.625 1
O11 O 0.927 0.700 0.379 1
O12 O 0.621 0.379 0.564 1
O13 O 0.886 0.886 0.573 1
O14 O 0.938 0.309 0.125 1
O15 O 0.621 0.621 0.436 1
O16 O 0.200 0.573 0.879 1
O17 O 0.573 0.800 0.121 1
O18 O 0.386 0.386 0.927 1
O19 O 0.800 0.427 0.879 1
O20 O 0.191 0.562 0.375 1
O21 O 0.309 0.062 0.875 1
O22 O 0.700 0.927 0.379 1
O23 O 0.114 0.886 0.427 1
O24 O 0.062 0.691 0.125 1
O25 O 0.309 0.938 0.125 1
O26 O 0.073 0.700 0.621 1
O27 O 0.886 0.114 0.427 1
O28 O 0.300 0.927 0.621 1
O29 O 0.386 0.614 0.073 1
O30 O 0.562 0.809 0.625 1
O31 O 0.438 0.191 0.625 1
O32 O 0.427 0.800 0.879 1
O33 O 0.562 0.191 0.375 1
O34 O 0.073 0.300 0.379 1
O35 O 0.809 0.438 0.375 1
O36 O 0.879 0.879 0.064 1
O37 O 0.691 0.062 0.125 1
O38 O 0.691 0.938 0.875 1
O39 O 0.938 0.691 0.875 1
O40 O 0.062 0.309 0.875 1
O41 O 0.927 0.300 0.621 1
O42 O 0.809 0.562 0.625 1
O43 O 0.573 0.200 0.879 1
O44 O 0.614 0.386 0.073 1
O45 O 0.114 0.114 0.573 1
O46 O 0.121 0.879 0.936 1
O47 O 0.121 0.121 0.064 1
O48 O 0.700 0.073 0.621 1
# - SG = No. 134
# - crystal system = tetragonal

Most stable structure, least stable structure: A), B).

A) # Na3Ni2P2C2O14, optimized geometry, DFT GGA+U
data_Na3Ni2P2C2O14
_cell_length_a 6.502
_cell_length_b 10.229
_cell_length_c 10.303
_cell_angle_alpha 61.52
_cell_angle_beta 90.00
_cell_angle_gamma 90.00
_space_group_name_H-M_alt 'P 1'
_space_group_IT_number 1
loop_
_space_group_symop_operation_xyz
'x,y,z'
loop_
_atom_site_label
_atom_site_type_symbol
_atom_site_fract_x
_atom_site_fract_y
_atom_site_fract_z
_atom_site_occupancy
Na1 Na 0.537 0.249 0.757 1
Na2 Na 0.012 0.754 0.742 1
Na3 Na 0.485 0.752 0.748 1
Na4 Na 0.985 0.248 0.252 1
Na5 Na 0.512 0.246 0.258 1
Na6 Na 0.037 0.751 0.243 1
Ni1 Ni 0.244 0.345 0.932 1
Ni2 Ni 0.745 0.649 0.565 1
Ni3 Ni 0.245 0.351 0.435 1
Ni4 Ni 0.744 0.655 0.068 1
P1 P 0.748 0.425 0.932 1
P2 P 0.247 0.569 0.576 1
P3 P 0.747 0.431 0.424 1
P4 P 0.248 0.575 0.068 1
C1 C 0.755 0.922 0.896 1
C2 C 0.750 0.919 0.399 1
C3 C 0.250 0.081 0.601 1
C4 C 0.255 0.078 0.104 1
O1 O 0.257 0.133 0.962 1
O2 O 0.936 0.325 0.953 1
O3 O 0.561 0.327 0.942 1
O4 O 0.254 0.419 0.719 1
O5 O 0.740 0.463 0.557 1
O6 O 0.240 0.539 0.935 1
O7 O 0.750 0.574 0.786 1
O8 O 0.059 0.667 0.567 1
O9 O 0.433 0.668 0.567 1
O10 O 0.752 0.819 0.854 1
O11 O 0.756 0.820 0.354 1
O12 O 0.744 0.858 0.543 1
O13 O 0.250 0.943 0.685 1
O14 O 0.254 0.942 0.195 1
O15 O 0.754 0.058 0.805 1
O16 O 0.750 0.057 0.315 1
O17 O 0.244 0.142 0.457 1
O18 O 0.256 0.180 0.646 1
O19 O 0.252 0.181 0.146 1
O20 O 0.933 0.332 0.433 1
O21 O 0.559 0.333 0.433 1
O22 O 0.250 0.426 0.214 1
O23 O 0.740 0.461 0.065 1
O24 O 0.240 0.537 0.443 1
O25 O 0.754 0.581 0.281 1
O26 O 0.436 0.675 0.047 1
O27 O 0.061 0.673 0.058 1
O28 O 0.757 0.867 0.038 1
# - SG = No. 4
# - crystal system = monoclinic

B) # Na3Ni2P2C2O14, optimized geometry, DFT GGA+U
data_Na3Ni2P2C2O14
_cell_length_a 10.271
_cell_length_b 10.518
_cell_length_c 6.493
_cell_angle_alpha 90.00
_cell_angle_beta 90.00
_cell_angle_gamma 59.52
_space_group_name_H-M_alt 'P 1'
_space_group_IT_number 1
loop_
_space_group_symop_operation_xyz
'x,y,z'
loop_
_atom_site_label
_atom_site_type_symbol
_atom_site_fract_x
_atom_site_fract_y
_atom_site_fract_z
_atom_site_occupancy
Na1 Na 0.003 0.248 0.039 1
Na2 Na 0.497 0.257 0.987 1
Na3 Na 0.496 0.256 0.515 1
Na4 Na 0.503 0.748 0.461 1
Na5 Na 0.996 0.756 0.985 1
Na6 Na 0.997 0.757 0.513 1
Ni1 Ni 0.278 0.068 0.746 1
Ni2 Ni 0.215 0.432 0.250 1
Ni3 Ni 0.778 0.568 0.754 1
Ni4 Ni 0.715 0.932 0.250 1
P1 P 0.353 0.070 0.252 1
P2 P 0.143 0.428 0.750 1
P3 P 0.853 0.570 0.248 1
P4 P 0.643 0.928 0.750 1
C1 C 0.818 0.100 0.252 1
C2 C 0.318 0.600 0.248 1
C3 C 0.685 0.394 0.746 1
C4 C 0.185 0.894 0.754 1
O1 O 0.098 0.037 0.761 1
O2 O 0.268 0.064 0.060 1
O3 O 0.276 0.050 0.444 1
O4 O 0.142 0.282 0.757 1
O5 O 0.020 0.441 0.246 1
O6 O 0.478 0.063 0.750 1
O7 O 0.358 0.215 0.256 1
O8 O 0.231 0.441 0.937 1
O9 O 0.229 0.440 0.562 1
O10 O 0.672 0.146 0.252 1
O11 O 0.172 0.646 0.248 1
O12 O 0.403 0.456 0.249 1
O13 O 0.635 0.307 0.749 1
O14 O 0.135 0.807 0.751 1
O15 O 0.868 0.185 0.253 1
O16 O 0.368 0.685 0.247 1
O17 O 0.598 0.537 0.739 1
O18 O 0.828 0.351 0.753 1
O19 O 0.328 0.851 0.747 1
O20 O 0.776 0.550 0.056 1
O21 O 0.768 0.564 0.440 1
O22 O 0.642 0.782 0.743 1
O23 O 0.520 0.941 0.254 1
O24 O 0.978 0.563 0.750 1
O25 O 0.858 0.715 0.244 1
O26 O 0.731 0.941 0.563 1
O27 O 0.729 0.940 0.938 1
O28 O 0.903 0.956 0.251 1
# - SG = No. 7
# - crystal system = monoclinic

Most stable structure, least stable structure: B), A).

A) # Li3Fe3P4O16, optimized geometry, DFT GGA+U
data_Li3Fe3P4O16
_cell_length_a 7.676
_cell_length_b 8.023
_cell_length_c 10.058
_cell_angle_alpha 90.49
_cell_angle_beta 94.87
_cell_angle_gamma 89.72
_space_group_name_H-M_alt 'P 1'
_space_group_IT_number 1
loop_
_space_group_symop_operation_xyz
'x,y,z'
loop_
_atom_site_label
_atom_site_type_symbol
_atom_site_fract_x
_atom_site_fract_y
_atom_site_fract_z
_atom_site_occupancy
Li1 Li 0.112 0.358 0.795 1
Li2 Li 0.906 0.634 0.208 1
Li3 Li 0.592 0.134 0.542 1
Li4 Li 0.406 0.864 0.455 1
Li5 Li 0.392 0.859 0.955 1
Li6 Li 0.094 0.363 0.296 1
Fe1 Fe 0.899 0.641 0.703 1
Fe2 Fe 0.604 0.144 0.054 1
Fe3 Fe 0.491 0.508 0.002 1
Fe4 Fe 0.479 0.491 0.498 1
Fe5 Fe 0.018 0.990 0.252 1
Fe6 Fe 0.012 0.015 0.746 1
P1 P 0.204 0.198 0.021 1
P2 P 0.301 0.696 0.731 1
P3 P 0.298 0.686 0.233 1
P4 P 0.697 0.305 0.765 1
P5 P 0.697 0.313 0.273 1
P6 P 0.796 0.805 0.988 1
P7 P 0.199 0.188 0.514 1
P8 P 0.806 0.816 0.477 1
O1 O 0.242 0.872 0.774 1
O2 O 0.874 0.799 0.848 1
O3 O 0.848 0.430 0.281 1
O4 O 0.902 0.808 0.349 1
O5 O 0.947 0.857 0.600 1
O6 O 0.945 0.858 0.091 1
O7 O 0.063 0.143 0.909 1
O8 O 0.052 0.129 0.405 1
O9 O 0.109 0.201 0.647 1
O10 O 0.141 0.576 0.721 1
O11 O 0.117 0.189 0.153 1
O12 O 0.147 0.568 0.221 1
O13 O 0.391 0.693 0.100 1
O14 O 0.263 0.375 0.979 1
O15 O 0.249 0.366 0.471 1
O16 O 0.247 0.868 0.273 1
O17 O 0.726 0.633 0.026 1
O18 O 0.385 0.691 0.597 1
O19 O 0.440 0.638 0.843 1
O20 O 0.364 0.078 0.027 1
O21 O 0.850 0.431 0.780 1
O22 O 0.447 0.633 0.342 1
O23 O 0.553 0.362 0.660 1
O24 O 0.615 0.305 0.905 1
O25 O 0.555 0.349 0.149 1
O26 O 0.645 0.936 0.974 1
O27 O 0.601 0.305 0.400 1
O28 O 0.652 0.930 0.467 1
O29 O 0.763 0.132 0.727 1
O30 O 0.758 0.635 0.528 1
O31 O 0.750 0.132 0.219 1
O32 O 0.353 0.070 0.528 1
# - SG = No. 1
# - crystal system = triclinic

B) # Li3Fe3P4O16, optimized geometry, DFT GGA+U
data_Li3Fe3P4O16
_cell_length_a 5.019
_cell_length_b 8.328
_cell_length_c 14.538
_cell_angle_alpha 79.96
_cell_angle_beta 90.00
_cell_angle_gamma 90.00
_space_group_name_H-M_alt 'P 1'
_space_group_IT_number 1
loop_
_space_group_symop_operation_xyz
'x,y,z'
loop_
_atom_site_label
_atom_site_type_symbol
_atom_site_fract_x
_atom_site_fract_y
_atom_site_fract_z
_atom_site_occupancy
Li1 Li 0.515 0.827 0.878 1
Li2 Li 0.485 0.173 0.122 1
Li3 Li 0.985 0.327 0.378 1
Li4 Li 0.500 0.500 0.500 1
Li5 Li 0.015 0.673 0.622 1
Li6 Li 0.000 0.000 0.000 1
Fe1 Fe 0.435 0.521 0.293 1
Fe2 Fe 0.000 0.000 0.500 1
Fe3 Fe 0.935 0.979 0.207 1
Fe4 Fe 0.065 0.021 0.793 1
Fe5 Fe 0.565 0.479 0.707 1
Fe6 Fe 0.500 0.500 0.000 1
P1 P 0.488 0.877 0.649 1
P2 P 0.517 0.185 0.893 1
P3 P 0.017 0.315 0.607 1
P4 P 0.983 0.685 0.393 1
P5 P 0.483 0.815 0.107 1
P6 P 0.512 0.123 0.351 1
P7 P 0.988 0.623 0.851 1
P8 P 0.012 0.377 0.149 1
O1 O 0.964 0.191 0.698 1
O2 O 0.527 0.739 0.020 1
O3 O 0.712 0.395 0.127 1
O4 O 0.593 0.069 0.257 1
O5 O 0.181 0.476 0.072 1
O6 O 0.091 0.191 0.157 1
O7 O 0.909 0.809 0.843 1
O8 O 0.819 0.524 0.928 1
O9 O 0.407 0.931 0.743 1
O10 O 0.288 0.605 0.873 1
O11 O 0.473 0.261 0.980 1
O12 O 0.788 0.895 0.627 1
O13 O 0.907 0.569 0.757 1
O14 O 0.319 0.976 0.572 1
O15 O 0.793 0.106 0.890 1
O16 O 0.409 0.691 0.657 1
O17 O 0.093 0.431 0.243 1
O18 O 0.304 0.043 0.898 1
O19 O 0.804 0.457 0.602 1
O20 O 0.027 0.761 0.480 1
O21 O 0.464 0.309 0.802 1
O22 O 0.293 0.394 0.610 1
O23 O 0.707 0.606 0.390 1
O24 O 0.036 0.809 0.302 1
O25 O 0.973 0.239 0.520 1
O26 O 0.196 0.543 0.398 1
O27 O 0.696 0.957 0.102 1
O28 O 0.536 0.691 0.198 1
O29 O 0.591 0.309 0.343 1
O30 O 0.207 0.894 0.110 1
O31 O 0.681 0.024 0.428 1
O32 O 0.212 0.105 0.373 1
# - SG = No. 14
# - crystal system = monoclinic

Most stable structure, least stable structure: B), A).

A) # Li3Mn4O8, optimized geometry, DFT GGA+U
data_Li3Mn4O8
_cell_length_a 6.072
_cell_length_b 6.092
_cell_length_c 8.099
_cell_angle_alpha 90.36
_cell_angle_beta 90.41
_cell_angle_gamma 93.06
_space_group_name_H-M_alt 'P 1'
_space_group_IT_number 1
loop_
_space_group_symop_operation_xyz
'x,y,z'
loop_
_atom_site_label
_atom_site_type_symbol
_atom_site_fract_x
_atom_site_fract_y
_atom_site_fract_z
_atom_site_occupancy
Li1 Li 0.261 0.739 0.750 1
Li2 Li 0.500 0.500 0.000 1
Li3 Li 0.000 0.000 0.000 1
Li4 Li 0.739 0.261 0.250 1
Li5 Li 0.000 0.000 0.500 1
Li6 Li 0.500 0.500 0.500 1
Mn1 Mn 0.000 0.500 0.000 1
Mn2 Mn 0.250 0.750 0.250 1
Mn3 Mn 0.247 0.250 0.251 1
Mn4 Mn 0.500 0.000 0.500 1
Mn5 Mn 0.750 0.753 0.250 1
Mn6 Mn 0.250 0.247 0.750 1
Mn7 Mn 0.753 0.750 0.749 1
Mn8 Mn 0.750 0.250 0.750 1
O1 O 0.982 0.496 0.762 1
O2 O 0.219 0.282 0.994 1
O3 O 0.229 0.730 0.011 1
O4 O 0.481 0.995 0.261 1
O5 O 0.514 0.469 0.751 1
O6 O 0.781 0.718 0.006 1
O7 O 0.771 0.270 0.989 1
O8 O 0.019 0.964 0.251 1
O9 O 0.018 0.504 0.238 1
O10 O 0.272 0.770 0.490 1
O11 O 0.279 0.218 0.507 1
O12 O 0.486 0.531 0.249 1
O13 O 0.728 0.230 0.510 1
O14 O 0.721 0.782 0.493 1
O15 O 0.981 0.036 0.749 1
O16 O 0.519 0.005 0.739 1
# - SG = No. 2
# - crystal system = triclinic

B) # Li3Mn4O8, optimized geometry, DFT GGA+U
data_Li3Mn4O8
_cell_length_a 5.937
_cell_length_b 5.936
_cell_length_c 10.887
_cell_angle_alpha 74.92
_cell_angle_beta 90.03
_cell_angle_gamma 121.57
_space_group_name_H-M_alt 'P 1'
_space_group_IT_number 1
loop_
_space_group_symop_operation_xyz
'x,y,z'
loop_
_atom_site_label
_atom_site_type_symbol
_atom_site_fract_x
_atom_site_fract_y
_atom_site_fract_z
_atom_site_occupancy
Li1 Li 0.250 0.000 0.250 1
Li2 Li 0.750 0.000 0.750 1
Li3 Li 0.335 0.127 0.038 1
Li4 Li 0.835 0.127 0.537 1
Li5 Li 0.165 0.873 0.462 1
Li6 Li 0.664 0.872 0.963 1
Mn1 Mn 0.001 0.501 0.998 1
Mn2 Mn 0.499 0.499 0.501 1
Mn3 Mn 0.250 0.000 0.750 1
Mn4 Mn 0.250 0.500 0.750 1
Mn5 Mn 0.750 0.500 0.750 1
Mn6 Mn 0.750 0.000 0.250 1
Mn7 Mn 0.750 0.500 0.250 1
Mn8 Mn 0.250 0.500 0.250 1
O1 O 0.899 0.248 0.354 1
O2 O 0.398 0.248 0.854 1
O3 O 0.602 0.753 0.146 1
O4 O 0.102 0.752 0.646 1
O5 O 0.110 0.247 0.145 1
O6 O 0.609 0.245 0.645 1
O7 O 0.637 0.238 0.148 1
O8 O 0.136 0.236 0.649 1
O9 O 0.115 0.716 0.148 1
O10 O 0.615 0.715 0.649 1
O11 O 0.386 0.285 0.352 1
O12 O 0.885 0.284 0.851 1
O13 O 0.863 0.763 0.352 1
O14 O 0.364 0.763 0.851 1
O15 O 0.391 0.754 0.355 1
O16 O 0.890 0.754 0.855 1
# - SG = No. 12
# - crystal system = monoclinic

Most stable structure, least stable structure: B), A).